1.
Below is a geometry-optimized Li2MnF4 structure, with properties calculated at the PBE+U level.

Summary:
Total energy after the MP2020 corrections (eV/atom): -5.955
Theoretical density (Mg/m³): 3.22
Total moment (μB/cell): 20.00
Energy (eV/cell): -152.665
Space group: Pnma, No. 62
Calculated volume (Å³/cell): 299
E above lowest polymorph (meV per atom): 52

abc: 9.4692 5.9714 5.2837
angles: 90.00 90.00 90.00
Last column: nearest neighbours and their distance in Å.
Fractional coordinates of all 28 atoms:
Li 0.0000 0.0000 0.0000  4 F 1.89-2.11
Li 0.0000 0.5000 0.0000  4 F 1.89-2.11
Li 0.2180 0.2500 0.4645  6 F 1.98-2.12
Li 0.2820 0.7500 0.9645  6 F 1.98-2.12
Li 0.5000 0.0000 0.5000  4 F 1.89-2.11
Li 0.5000 0.5000 0.5000  4 F 1.89-2.11
Li 0.7180 0.2500 0.0355  6 F 1.98-2.12
Li 0.7820 0.7500 0.5355  6 F 1.98-2.12
Mn 0.1576 0.7500 0.4694  4 F 2.04-2.16
Mn 0.3424 0.2500 0.9694  4 F 2.04-2.16
Mn 0.6576 0.7500 0.0306  4 F 2.04-2.16
Mn 0.8424 0.2500 0.5306  4 F 2.04-2.16
F 0.0481 0.2500 0.6829  1 Li 1.98, 1 Mn 2.11
F 0.0727 0.7500 0.8243  2 Li 1.89, 1 Mn 2.04
F 0.1955 0.0079 0.1914  3 Li 2.05-2.12, 1 Mn 2.16
F 0.1955 0.4921 0.1914  3 Li 2.05-2.12, 1 Mn 2.16
F 0.3045 0.5079 0.6914  3 Li 2.05-2.12, 1 Mn 2.16
F 0.3045 0.9921 0.6914  3 Li 2.05-2.12, 1 Mn 2.16
F 0.4273 0.2500 0.3243  2 Li 1.89, 1 Mn 2.04
F 0.4519 0.7500 0.1829  1 Li 1.98, 1 Mn 2.11
F 0.5481 0.2500 0.8171  1 Li 1.98, 1 Mn 2.11
F 0.5727 0.7500 0.6757  2 Li 1.89, 1 Mn 2.04
F 0.6955 0.0079 0.3086  3 Li 2.05-2.12, 1 Mn 2.16
F 0.6955 0.4921 0.3086  3 Li 2.05-2.12, 1 Mn 2.16
F 0.8045 0.5079 0.8086  3 Li 2.05-2.12, 1 Mn 2.16
F 0.8045 0.9921 0.8086  3 Li 2.05-2.12, 1 Mn 2.16
F 0.9273 0.2500 0.1757  2 Li 1.89, 1 Mn 2.04
F 0.9519 0.7500 0.3171  1 Li 1.98, 1 Mn 2.11

---

2.
Below is a geometry-optimized KFe3H6S2O14 structure, with properties calculated at the PBE+U level.

Summary:
Total energy after the MP2020 corrections (eV/atom): -5.608
Theoretical density (Mg/m³): 1.63
Total moment (μB/cell): 9.00
Energy (eV/cell): -129.411
Space group: R-3m, No. 166
Calculated volume (Å³/cell): 511
E above lowest polymorph (meV per atom): 870

abc: 8.9940 8.9940 8.9940
angles: 59.71 59.71 59.71
Last column: nearest neighbours and their distance in Å.
Fractional coordinates of all 26 atoms:
K 0.0000 0.0000 0.0000  6 O 2.75
Fe 0.0000 0.0000 0.5000  4 O 1.85-1.98
Fe 0.0000 0.5000 0.0000  4 O 1.85-1.98
Fe 0.5000 0.0000 0.0000  4 O 1.85-1.98
H 0.0511 0.4847 0.4847  1 H 0.75
H 0.4847 0.0511 0.4847  1 H 0.75
H 0.4847 0.4847 0.0511  1 H 0.75
H 0.5153 0.5153 0.9489  1 H 0.75
H 0.5153 0.9489 0.5153  1 H 0.75
H 0.9489 0.5153 0.5153  1 H 0.75
S 0.2628 0.2628 0.2628  4 O 1.44-1.51
S 0.7372 0.7372 0.7372  4 O 1.44-1.51
O 0.0364 0.0364 0.2644  1 Fe 1.85, 2 O 2.04
O 0.0364 0.2644 0.0364  1 Fe 1.85, 2 O 2.04
O 0.1478 0.1478 0.4220  1 S 1.51
O 0.1478 0.4220 0.1478  1 S 1.51
O 0.2644 0.0364 0.0364  1 Fe 1.85, 2 O 2.04
O 0.3279 0.3279 0.3279  1 S 1.44
O 0.4220 0.1478 0.1478  1 S 1.51
O 0.5780 0.8522 0.8522  1 S 1.51
O 0.6721 0.6721 0.6721  1 S 1.44
O 0.7356 0.9636 0.9636  1 Fe 1.85, 2 O 2.04
O 0.8522 0.5780 0.8522  1 S 1.51
O 0.8522 0.8522 0.5780  1 S 1.51
O 0.9636 0.7356 0.9636  1 Fe 1.85, 2 O 2.04
O 0.9636 0.9636 0.7356  1 Fe 1.85, 2 O 2.04

---

3.
Below is a geometry-optimized CaMnO2 structure, with properties calculated at the PBE+U level.

Summary:
Total energy after the MP2020 corrections (eV/atom): -7.773
Theoretical density (Mg/m³): 3.51
Total moment (μB/cell): 20.00
Energy (eV/cell): -112.193
Space group: P-1, No. 2
Calculated volume (Å³/cell): 240

abc: 3.2190 8.5928 8.7560
angles: 92.75 95.76 92.89
Last column: nearest neighbours and their distance in Å.
Fractional coordinates of all 16 atoms:
Ca 0.1130 0.2477 0.0841  5 O 2.29-2.41
Ca 0.1422 0.9216 0.2785  5 O 2.32-2.51
Ca 0.8578 0.0784 0.7215  5 O 2.32-2.51
Ca 0.8870 0.7523 0.9159  5 O 2.29-2.41
Mn 0.2218 0.7282 0.5886  4 O 2.08-2.15
Mn 0.4279 0.4035 0.7369  4 O 2.03-2.17
Mn 0.5721 0.5965 0.2631  4 O 2.03-2.17
Mn 0.7782 0.2718 0.4114  4 O 2.08-2.15
O 0.0521 0.4428 0.2767  3 Mn 2.08-2.14
O 0.3192 0.2158 0.5595  3 Mn 2.11-2.17
O 0.3560 0.8907 0.7725  1 Mn 2.08, 1 Ca 2.32
O 0.4380 0.7562 0.1042  1 Mn 2.03
O 0.5620 0.2438 0.8958  1 Mn 2.03
O 0.6440 0.1093 0.2275  1 Mn 2.08, 1 Ca 2.32
O 0.6808 0.7842 0.4405  3 Mn 2.11-2.17
O 0.9479 0.5572 0.7233  3 Mn 2.08-2.14

---

4.
Below is a geometry-optimized TbCoO3 structure, with properties calculated at the PBE+U level.

Summary:
Total energy after the MP2020 corrections (eV/atom): -7.945
Theoretical density (Mg/m³): 8.34
Energy (eV/cell): -144.108
Space group: Pnma, No. 62
Calculated volume (Å³/cell): 212

abc: 5.4682 7.4467 5.2026
angles: 90.00 90.00 90.00
Last column: nearest neighbours and their distance in Å.
Fractional coordinates of all 20 atoms:
Tb 0.0685 0.2500 0.0176  6 O 2.25-2.45
Tb 0.4315 0.7500 0.5176  6 O 2.25-2.45
Tb 0.5685 0.2500 0.4824  6 O 2.25-2.45
Tb 0.9315 0.7500 0.9824  6 O 2.25-2.45
Co 0.0000 0.0000 0.5000  6 O 1.93-1.96
Co 0.0000 0.5000 0.5000  6 O 1.93-1.96
Co 0.5000 0.0000 0.0000  6 O 1.93-1.96
Co 0.5000 0.5000 0.0000  6 O 1.93-1.96
O 0.0266 0.7500 0.4025  2 Co 1.93
O 0.2009 0.5500 0.8038  2 Co 1.96
O 0.2009 0.9500 0.8038  2 Co 1.96
O 0.2991 0.0500 0.3038  2 Co 1.96
O 0.2991 0.4500 0.3038  2 Co 1.96
O 0.4734 0.2500 0.9025  2 Co 1.93
O 0.5266 0.7500 0.0975  2 Co 1.93
O 0.7009 0.5500 0.6962  2 Co 1.96
O 0.7009 0.9500 0.6962  2 Co 1.96
O 0.7991 0.0500 0.1962  2 Co 1.96
O 0.7991 0.4500 0.1962  2 Co 1.96
O 0.9734 0.2500 0.5975  2 Co 1.93

---

Number 1: energy of formation -3.006 eV/atom. Number 2: energy of formation -0.822 eV/atom. Number 3: energy of formation -2.507 eV/atom. Number 4: energy of formation -2.628 eV/atom.